1.
Material: KLaDyBiO6
Method: DFT, PBE-GGA
State: optimized geometry

Cell lengths 8.5946, 8.4491, 8.5998 Å; angles 90.00, 90.00, 90.00 degrees
With the nearest neighbours (Å) after each atom.
Positions (direct):
La: 0.5000 0.5000 0.5000  12 O 2.85-2.98
La: 0.5000 0.0000 0.5000  4 O 2.47
La: 0.0000 0.0000 0.0000  12 O 2.85-2.98
La: 0.0000 0.5000 0.0000  4 O 2.47
O: 0.7748 0.4938 0.2881  1 Bi 2.10, 1 Dy 2.20
O: 0.0064 0.2094 0.7405  1 Bi 2.12, 1 Dy 2.23
O: 0.9936 0.2094 0.2595  1 Bi 2.12, 1 Dy 2.23
O: 0.8085 0.2822 0.0053  1 Bi 2.18, 1 Dy 2.27
O: 0.4936 0.7094 0.2405  1 Bi 2.12, 1 Dy 2.23
O: 0.6915 0.2178 0.4947  1 Bi 2.18, 1 Dy 2.27
O: 0.2252 0.5062 0.2881  1 Bi 2.10, 1 Dy 2.20
O: 0.7748 0.5062 0.7119  1 Bi 2.10, 1 Dy 2.20
O: 0.4936 0.2906 0.7595  1 Bi 2.12, 1 Dy 2.23
O: 0.1915 0.2822 0.9947  1 Bi 2.18, 1 Dy 2.27
O: 0.9936 0.7906 0.7405  1 Bi 2.12, 1 Dy 2.23
O: 0.2748 0.9938 0.2119  1 Bi 2.10, 1 Dy 2.20
O: 0.2252 0.4938 0.7119  1 Bi 2.10, 1 Dy 2.20
O: 0.3085 0.2178 0.5053  1 Bi 2.18, 1 Dy 2.27
O: 0.6915 0.7822 0.5053  1 Bi 2.18, 1 Dy 2.27
O: 0.7252 0.9938 0.7881  1 Bi 2.10, 1 Dy 2.20
O: 0.5064 0.2906 0.2405  1 Bi 2.12, 1 Dy 2.23
O: 0.7252 0.0062 0.2119  1 Bi 2.10, 1 Dy 2.20
O: 0.0064 0.7906 0.2595  1 Bi 2.12, 1 Dy 2.23
O: 0.8085 0.7178 0.9947  1 Bi 2.18, 1 Dy 2.27
O: 0.2748 0.0062 0.7881  1 Bi 2.10, 1 Dy 2.20
O: 0.1915 0.7178 0.0053  1 Bi 2.18, 1 Dy 2.27
O: 0.5064 0.7094 0.7595  1 Bi 2.12, 1 Dy 2.23
O: 0.3085 0.7822 0.4947  1 Bi 2.18, 1 Dy 2.27
Bi: 0.7500 0.2500 0.2500  6 O 2.10-2.18
Bi: 0.7500 0.7500 0.7500  6 O 2.10-2.18
Bi: 0.2500 0.2500 0.7500  6 O 2.10-2.18
Bi: 0.2500 0.7500 0.2500  6 O 2.10-2.18
K: 0.0000 0.5000 0.5000  4 O 2.66
K: 0.5000 0.5000 0.0000  4 O 2.72
K: 0.5000 0.0000 0.0000  4 O 2.66
K: 0.0000 0.0000 0.5000  4 O 2.72
Dy: 0.2500 0.2500 0.2500  6 O 2.20-2.27
Dy: 0.7500 0.2500 0.7500  6 O 2.20-2.27
Dy: 0.7500 0.7500 0.2500  6 O 2.20-2.27
Dy: 0.2500 0.7500 0.7500  6 O 2.20-2.27

Calculated values
Energy, eV/atom: -6.705
Spin magnetization, μB/atom: 0.00
E above lowest polymorph, eV per formula unit: 0.00

---

2.
Material: KLaDyBiO6
Method: DFT, PBE-GGA
State: optimized geometry

Cell lengths 6.0626, 6.0626, 6.0626 Å; angles 60.00, 60.00, 60.00 degrees
With the nearest neighbours (Å) after each atom.
Positions (direct):
O: 0.2446 0.2446 0.7554  1 Bi 2.10, 1 Dy 2.19
O: 0.7554 0.7554 0.2446  1 Bi 2.10, 1 Dy 2.19
O: 0.7554 0.2446 0.7554  1 Bi 2.10, 1 Dy 2.19
O: 0.7554 0.2446 0.2446  1 Bi 2.10, 1 Dy 2.19
O: 0.2446 0.7554 0.2446  1 Bi 2.10, 1 Dy 2.19
O: 0.2446 0.7554 0.7554  1 Bi 2.10, 1 Dy 2.19
K: 0.7500 0.7500 0.7500  12 O 3.03
Dy: 0.5000 0.5000 0.5000  6 O 2.19
Bi: 0.0000 0.0000 0.0000  6 O 2.10
La: 0.2500 0.2500 0.2500  12 O 3.03

Calculated values
Energy, eV/atom: -6.596
Spin magnetization, μB/atom: 0.00
E above lowest polymorph, eV per formula unit: 1.09

---

Short version: energy of formation = -2694, -2585 meV/atom, in the order given.